# Na2CaV12O36 (GGA+U, relaxed)
data_Na2CaV12O36
_chemical_formula_sum 'Na4 Ca2 V24 O72'
_cell_length_a 15.667
_cell_length_b 7.260
_cell_length_c 14.508
_cell_angle_alpha 90.00
_cell_angle_beta 117.64
_cell_angle_gamma 90.00
_space_group_name_H-M_alt 'C 1 m 1'
_space_group_IT_number 8
_space_group_name_Hall 'C -2y'
loop_
_atom_site_label
_atom_site_type_symbol
_atom_site_fract_x
_atom_site_fract_y
_atom_site_fract_z
Na1 Na 0.000 0.248 0.000
Ca1 Ca 0.171 0.000 0.381
V1 V 0.051 0.249 0.760
V2 V 0.115 0.500 0.608
V3 V 0.128 0.000 0.624
V4 V 0.241 0.000 0.149
V5 V 0.243 0.500 0.150
V6 V 0.258 0.500 0.888
V7 V 0.259 0.000 0.875
V8 V 0.416 0.249 0.511
V9 V 0.430 0.250 0.232
O1 O 0.030 0.258 0.860
O2 O 0.047 0.227 0.335
O3 O 0.081 0.000 0.752
O4 O 0.086 0.246 0.621
O5 O 0.091 0.500 0.759
O6 O 0.119 0.500 0.062
O7 O 0.124 0.000 0.047
O8 O 0.150 0.000 0.525
O9 O 0.155 0.500 0.524
O10 O 0.209 0.000 0.245
O11 O 0.215 0.245 0.857
O12 O 0.215 0.500 0.248
O13 O 0.223 0.500 0.730
O14 O 0.241 0.000 0.731
O15 O 0.248 0.000 0.999
O16 O 0.250 0.500 0.002
O17 O 0.279 0.248 0.151
O18 O 0.299 0.220 0.456
O19 O 0.375 0.500 0.926
O20 O 0.377 0.000 0.931
O21 O 0.390 0.500 0.231
O22 O 0.395 0.000 0.236
O23 O 0.427 0.253 0.388
O24 O 0.435 0.242 0.653
O25 O 0.448 0.500 0.524
O26 O 0.460 0.252 0.137
O27 O 0.466 0.000 0.528
# Electronic total energy = -6.89 eV per atom
# Energy with MP2020 corrections = -7.775 eV per atom
# ΔH_f (0 K) = -2054 meV per atom